Entry from the Materials Project: a relaxed structure of ZnH9C4NO6 (meta-GGA r2SCAN).

a b c (Å): 8.130 11.626 8.231
angles (deg): 90.00 90.00 90.00
Fractional positions:
Zn (0.000, 0.000, 0.000)
Zn (0.000, 0.500, 0.000)
Zn (0.500, 0.000, 0.500)
Zn (0.500, 0.500, 0.500)
H (0.017, 0.250, 0.074)
H (0.085, 0.750, 0.345)
H (0.089, 0.250, 0.341)
H (0.147, 0.677, 0.511)
H (0.147, 0.823, 0.511)
H (0.150, 0.173, 0.518)
H (0.150, 0.327, 0.518)
H (0.215, 0.538, 0.283)
H (0.215, 0.962, 0.283)
H (0.285, 0.038, 0.783)
H (0.285, 0.462, 0.783)
H (0.350, 0.673, 0.018)
H (0.350, 0.827, 0.018)
H (0.353, 0.177, 0.011)
H (0.353, 0.323, 0.011)
H (0.411, 0.750, 0.841)
H (0.415, 0.250, 0.845)
H (0.483, 0.750, 0.574)
H (0.517, 0.250, 0.426)
H (0.585, 0.750, 0.155)
H (0.589, 0.250, 0.159)
H (0.647, 0.677, 0.989)
H (0.647, 0.823, 0.989)
H (0.650, 0.173, 0.982)
H (0.650, 0.327, 0.982)
H (0.715, 0.538, 0.217)
H (0.715, 0.962, 0.217)
H (0.785, 0.038, 0.717)
H (0.785, 0.462, 0.717)
H (0.850, 0.673, 0.482)
H (0.850, 0.827, 0.482)
H (0.853, 0.177, 0.489)
H (0.853, 0.323, 0.489)
H (0.911, 0.750, 0.659)
H (0.915, 0.250, 0.655)
H (0.983, 0.750, 0.926)
C (0.008, 0.750, 0.057)
C (0.089, 0.250, 0.473)
C (0.216, 0.530, 0.719)
C (0.216, 0.970, 0.719)
C (0.284, 0.030, 0.219)
C (0.284, 0.470, 0.219)
C (0.411, 0.750, 0.973)
C (0.492, 0.250, 0.557)
C (0.508, 0.750, 0.443)
C (0.589, 0.250, 0.027)
C (0.716, 0.530, 0.781)
C (0.716, 0.970, 0.781)
C (0.784, 0.030, 0.281)
C (0.784, 0.470, 0.281)
C (0.911, 0.750, 0.527)
C (0.992, 0.250, 0.943)
N (0.084, 0.750, 0.470)
N (0.416, 0.250, 0.970)
N (0.584, 0.750, 0.030)
N (0.916, 0.250, 0.530)
O (0.023, 0.655, 0.129)
O (0.023, 0.845, 0.129)
O (0.094, 0.574, 0.788)
O (0.094, 0.926, 0.788)
O (0.234, 0.058, 0.079)
O (0.234, 0.442, 0.079)
O (0.266, 0.558, 0.579)
O (0.266, 0.942, 0.579)
O (0.406, 0.074, 0.288)
O (0.406, 0.426, 0.288)
O (0.477, 0.155, 0.629)
O (0.477, 0.345, 0.629)
O (0.523, 0.655, 0.371)
O (0.523, 0.845, 0.371)
O (0.594, 0.574, 0.712)
O (0.594, 0.926, 0.712)
O (0.734, 0.058, 0.421)
O (0.734, 0.442, 0.421)
O (0.766, 0.558, 0.921)
O (0.766, 0.942, 0.921)
O (0.906, 0.074, 0.212)
O (0.906, 0.426, 0.212)
O (0.977, 0.155, 0.871)
O (0.977, 0.345, 0.871)

Values from the calculation:
The value obtained for the formation energy is -0.786 eV per atom.

Entry from the Materials Project: a relaxed structure of Na2H2CO4 (meta-GGA r2SCAN).

a b c (Å): 10.667 5.196 6.299
angles (deg): 90.00 90.00 90.00
Fractional positions:
Na (0.002, 0.132, 0.000)
Na (0.190, 0.647, 0.921)
Na (0.310, 0.647, 0.421)
Na (0.498, 0.132, 0.500)
Na (0.502, 0.868, 0.000)
Na (0.690, 0.353, 0.921)
Na (0.810, 0.353, 0.421)
Na (0.998, 0.868, 0.500)
H (0.064, 0.319, 0.578)
H (0.091, 0.400, 0.347)
H (0.409, 0.400, 0.847)
H (0.436, 0.319, 0.078)
H (0.564, 0.681, 0.578)
H (0.591, 0.600, 0.347)
H (0.909, 0.600, 0.847)
H (0.936, 0.681, 0.078)
C (0.245, 0.109, 0.214)
C (0.255, 0.109, 0.714)
C (0.745, 0.891, 0.214)
C (0.755, 0.891, 0.714)
O (0.029, 0.424, 0.463)
O (0.137, 0.057, 0.727)
O (0.163, 0.927, 0.230)
O (0.209, 0.345, 0.186)
O (0.291, 0.345, 0.686)
O (0.337, 0.927, 0.730)
O (0.363, 0.057, 0.227)
O (0.471, 0.424, 0.963)
O (0.529, 0.576, 0.463)
O (0.637, 0.943, 0.727)
O (0.663, 0.073, 0.230)
O (0.709, 0.655, 0.186)
O (0.791, 0.655, 0.686)
O (0.837, 0.073, 0.730)
O (0.863, 0.943, 0.227)
O (0.971, 0.576, 0.963)

Values from the calculation:
The value obtained for the formation energy is -1.609 eV per atom.

Entry from the Materials Project: a relaxed structure of Na2H14CO10 (meta-GGA r2SCAN).

a b c (Å): 6.802 14.448 19.123
angles (deg): 90.00 90.00 90.00
Fractional positions:
Na (0.050, 0.008, 0.235)
Na (0.050, 0.492, 0.735)
Na (0.148, 0.051, 0.557)
Na (0.148, 0.449, 0.057)
Na (0.352, 0.551, 0.557)
Na (0.352, 0.949, 0.057)
Na (0.450, 0.508, 0.235)
Na (0.450, 0.992, 0.735)
Na (0.550, 0.008, 0.265)
Na (0.550, 0.492, 0.765)
Na (0.648, 0.051, 0.943)
Na (0.648, 0.449, 0.443)
Na (0.852, 0.551, 0.943)
Na (0.852, 0.949, 0.443)
Na (0.950, 0.508, 0.265)
Na (0.950, 0.992, 0.765)
H (0.003, 0.215, 0.631)
H (0.003, 0.285, 0.131)
H (0.014, 0.538, 0.422)
H (0.014, 0.962, 0.922)
H (0.019, 0.068, 0.900)
H (0.019, 0.432, 0.400)
H (0.045, 0.086, 0.366)
H (0.045, 0.414, 0.866)
H (0.055, 0.654, 0.506)
H (0.055, 0.846, 0.006)
H (0.111, 0.641, 0.044)
H (0.111, 0.859, 0.544)
H (0.145, 0.657, 0.206)
H (0.145, 0.843, 0.706)
H (0.154, 0.666, 0.431)
H (0.154, 0.834, 0.931)
H (0.177, 0.139, 0.709)
H (0.177, 0.361, 0.209)
H (0.211, 0.011, 0.368)
H (0.211, 0.489, 0.868)
H (0.217, 0.664, 0.284)
H (0.217, 0.836, 0.784)
H (0.225, 0.628, 0.974)
H (0.225, 0.872, 0.474)
H (0.234, 0.233, 0.622)
H (0.234, 0.267, 0.122)
H (0.243, 0.156, 0.786)
H (0.243, 0.344, 0.286)
H (0.257, 0.656, 0.786)
H (0.257, 0.844, 0.286)
H (0.266, 0.733, 0.622)
H (0.266, 0.767, 0.122)
H (0.275, 0.128, 0.974)
H (0.275, 0.372, 0.474)
H (0.283, 0.164, 0.284)
H (0.283, 0.336, 0.784)
H (0.289, 0.511, 0.368)
H (0.289, 0.989, 0.868)
H (0.323, 0.639, 0.709)
H (0.323, 0.861, 0.209)
H (0.346, 0.166, 0.431)
H (0.346, 0.334, 0.931)
H (0.355, 0.157, 0.206)
H (0.355, 0.343, 0.706)
H (0.389, 0.141, 0.044)
H (0.389, 0.359, 0.544)
H (0.445, 0.154, 0.506)
H (0.445, 0.346, 0.006)
H (0.455, 0.586, 0.366)
H (0.455, 0.914, 0.866)
H (0.481, 0.568, 0.900)
H (0.481, 0.932, 0.400)
H (0.486, 0.038, 0.422)
H (0.486, 0.462, 0.922)
H (0.497, 0.715, 0.631)
H (0.497, 0.785, 0.131)
H (0.503, 0.215, 0.869)
H (0.503, 0.285, 0.369)
H (0.514, 0.538, 0.078)
H (0.514, 0.962, 0.578)
H (0.519, 0.068, 0.600)
H (0.519, 0.432, 0.100)
H (0.545, 0.086, 0.134)
H (0.545, 0.414, 0.634)
H (0.555, 0.654, 0.994)
H (0.555, 0.846, 0.494)
H (0.611, 0.641, 0.456)
H (0.611, 0.859, 0.956)
H (0.645, 0.657, 0.294)
H (0.645, 0.843, 0.794)
H (0.654, 0.666, 0.069)
H (0.654, 0.834, 0.569)
H (0.677, 0.139, 0.791)
H (0.677, 0.361, 0.291)
H (0.711, 0.011, 0.132)
H (0.711, 0.489, 0.632)
H (0.717, 0.664, 0.216)
H (0.717, 0.836, 0.716)
H (0.725, 0.628, 0.526)
H (0.725, 0.872, 0.026)
H (0.734, 0.233, 0.878)
H (0.734, 0.267, 0.378)
H (0.743, 0.156, 0.714)
H (0.743, 0.344, 0.214)
H (0.757, 0.656, 0.714)
H (0.757, 0.844, 0.214)
H (0.766, 0.733, 0.878)
H (0.766, 0.767, 0.378)
H (0.775, 0.128, 0.526)
H (0.775, 0.372, 0.026)
H (0.783, 0.164, 0.216)
H (0.783, 0.336, 0.716)
H (0.789, 0.511, 0.132)
H (0.789, 0.989, 0.632)
H (0.823, 0.639, 0.791)
H (0.823, 0.861, 0.291)
H (0.846, 0.166, 0.069)
H (0.846, 0.334, 0.569)
H (0.855, 0.157, 0.294)
H (0.855, 0.343, 0.794)
H (0.889, 0.141, 0.456)
H (0.889, 0.359, 0.956)
H (0.945, 0.154, 0.994)
H (0.945, 0.346, 0.494)
H (0.955, 0.586, 0.134)
H (0.955, 0.914, 0.634)
H (0.981, 0.568, 0.600)
H (0.981, 0.932, 0.100)
H (0.986, 0.038, 0.078)
H (0.986, 0.462, 0.578)
H (0.997, 0.715, 0.869)
H (0.997, 0.785, 0.369)
C (0.103, 0.245, 0.886)
C (0.103, 0.255, 0.386)
C (0.397, 0.745, 0.886)
C (0.397, 0.755, 0.386)
C (0.603, 0.245, 0.614)
C (0.603, 0.255, 0.114)
C (0.897, 0.745, 0.614)
C (0.897, 0.755, 0.114)
O (0.033, 0.506, 0.613)
O (0.033, 0.994, 0.113)
O (0.046, 0.701, 0.124)
O (0.046, 0.799, 0.624)
O (0.071, 0.019, 0.360)
O (0.071, 0.481, 0.860)
O (0.088, 0.174, 0.926)
O (0.088, 0.326, 0.426)
O (0.132, 0.598, 0.006)
O (0.132, 0.902, 0.506)
O (0.133, 0.185, 0.628)
O (0.133, 0.315, 0.128)
O (0.135, 0.623, 0.470)
O (0.135, 0.877, 0.970)
O (0.200, 0.621, 0.245)
O (0.200, 0.879, 0.745)
O (0.205, 0.107, 0.754)
O (0.205, 0.393, 0.254)
O (0.232, 0.737, 0.355)
O (0.232, 0.763, 0.855)
O (0.268, 0.237, 0.355)
O (0.268, 0.263, 0.855)
O (0.295, 0.607, 0.754)
O (0.295, 0.893, 0.254)
O (0.300, 0.121, 0.245)
O (0.300, 0.379, 0.745)
O (0.365, 0.123, 0.470)
O (0.365, 0.377, 0.970)
O (0.367, 0.685, 0.628)
O (0.367, 0.815, 0.128)
O (0.368, 0.098, 0.006)
O (0.368, 0.402, 0.506)
O (0.412, 0.674, 0.926)
O (0.412, 0.826, 0.426)
O (0.429, 0.519, 0.360)
O (0.429, 0.981, 0.860)
O (0.454, 0.201, 0.124)
O (0.454, 0.299, 0.624)
O (0.467, 0.006, 0.613)
O (0.467, 0.494, 0.113)
O (0.533, 0.506, 0.887)
O (0.533, 0.994, 0.387)
O (0.546, 0.701, 0.376)
O (0.546, 0.799, 0.876)
O (0.571, 0.019, 0.140)
O (0.571, 0.481, 0.640)
O (0.588, 0.174, 0.574)
O (0.588, 0.326, 0.074)
O (0.632, 0.598, 0.494)
O (0.632, 0.902, 0.994)
O (0.633, 0.185, 0.872)
O (0.633, 0.315, 0.372)
O (0.635, 0.623, 0.030)
O (0.635, 0.877, 0.530)
O (0.700, 0.621, 0.255)
O (0.700, 0.879, 0.755)
O (0.705, 0.107, 0.746)
O (0.705, 0.393, 0.246)
O (0.732, 0.737, 0.145)
O (0.732, 0.763, 0.645)
O (0.768, 0.237, 0.145)
O (0.768, 0.263, 0.645)
O (0.795, 0.607, 0.746)
O (0.795, 0.893, 0.246)
O (0.800, 0.121, 0.255)
O (0.800, 0.379, 0.755)
O (0.865, 0.123, 0.030)
O (0.865, 0.377, 0.530)
O (0.867, 0.685, 0.872)
O (0.867, 0.815, 0.372)
O (0.868, 0.098, 0.494)
O (0.868, 0.402, 0.994)
O (0.912, 0.674, 0.574)
O (0.912, 0.826, 0.074)
O (0.929, 0.519, 0.140)
O (0.929, 0.981, 0.640)
O (0.954, 0.201, 0.376)
O (0.954, 0.299, 0.876)
O (0.967, 0.006, 0.887)
O (0.967, 0.494, 0.387)

Values from the calculation:
The value obtained for the formation energy is -1.233 eV per atom.

Entry from the Materials Project: a relaxed structure of Na3H5C2O8 (meta-GGA r2SCAN).

a b c (Å): 10.208 10.208 10.267
angles (deg): 106.77 106.77 19.35
Fractional positions:
Na (0.000, 0.000, 0.000)
Na (0.248, 0.446, 0.820)
Na (0.253, 0.053, 0.677)
Na (0.502, 0.498, 0.500)
Na (0.554, 0.752, 0.180)
Na (0.947, 0.747, 0.323)
H (0.027, 0.358, 0.009)
H (0.246, 0.277, 0.116)
H (0.253, 0.745, 0.250)
H (0.255, 0.747, 0.750)
H (0.257, 0.220, 0.385)
H (0.477, 0.139, 0.492)
H (0.642, 0.973, 0.991)
H (0.723, 0.754, 0.884)
H (0.780, 0.743, 0.615)
H (0.861, 0.523, 0.508)
C (0.077, 0.110, 0.354)
C (0.426, 0.386, 0.145)
C (0.614, 0.574, 0.855)
C (0.890, 0.923, 0.646)
O (0.068, 0.077, 0.460)
O (0.069, 0.824, 0.763)
O (0.116, 0.311, 0.106)
O (0.176, 0.931, 0.237)
O (0.326, 0.567, 0.262)
O (0.385, 0.187, 0.394)
O (0.433, 0.420, 0.039)
O (0.433, 0.674, 0.738)
O (0.510, 0.185, 0.148)
O (0.580, 0.567, 0.961)
O (0.689, 0.884, 0.894)
O (0.690, 0.005, 0.647)
O (0.813, 0.615, 0.606)
O (0.815, 0.490, 0.852)
O (0.923, 0.932, 0.540)
O (0.995, 0.310, 0.353)

Values from the calculation:
The value obtained for the formation energy is -1.513 eV per atom.

Entry from the Materials Project: a relaxed structure of Na5ScH4C4O14 (meta-GGA r2SCAN).

a b c (Å): 7.435 7.435 11.385
angles (deg): 90.00 90.00 90.00
Fractional positions:
Na (0.000, 0.000, 0.000)
Na (0.180, 0.318, 0.709)
Na (0.182, 0.320, 0.209)
Na (0.318, 0.820, 0.291)
Na (0.320, 0.818, 0.791)
Na (0.500, 0.500, 0.500)
Na (0.680, 0.182, 0.791)
Na (0.682, 0.180, 0.291)
Na (0.818, 0.680, 0.209)
Na (0.820, 0.682, 0.709)
Sc (0.000, 0.000, 0.500)
Sc (0.500, 0.500, 0.000)
H (0.061, 0.586, 0.384)
H (0.086, 0.561, 0.884)
H (0.414, 0.061, 0.616)
H (0.439, 0.086, 0.116)
H (0.561, 0.914, 0.116)
H (0.586, 0.939, 0.616)
H (0.914, 0.439, 0.884)
H (0.939, 0.414, 0.384)
C (0.177, 0.718, 0.578)
C (0.218, 0.677, 0.078)
C (0.282, 0.177, 0.422)
C (0.323, 0.218, 0.922)
C (0.677, 0.782, 0.922)
C (0.718, 0.823, 0.422)
C (0.782, 0.323, 0.078)
C (0.823, 0.282, 0.578)
O (0.000, 0.500, 0.332)
O (0.000, 0.500, 0.832)
O (0.088, 0.768, 0.117)
O (0.093, 0.829, 0.647)
O (0.160, 0.753, 0.466)
O (0.171, 0.093, 0.353)
O (0.232, 0.088, 0.883)
O (0.247, 0.160, 0.534)
O (0.253, 0.660, 0.966)
O (0.268, 0.588, 0.617)
O (0.329, 0.593, 0.147)
O (0.340, 0.253, 0.034)
O (0.407, 0.329, 0.853)
O (0.412, 0.268, 0.383)
O (0.500, 0.000, 0.168)
O (0.500, 0.000, 0.668)
O (0.588, 0.732, 0.383)
O (0.593, 0.671, 0.853)
O (0.660, 0.747, 0.034)
O (0.671, 0.407, 0.147)
O (0.732, 0.412, 0.617)
O (0.747, 0.340, 0.966)
O (0.753, 0.840, 0.534)
O (0.768, 0.912, 0.883)
O (0.829, 0.907, 0.353)
O (0.840, 0.247, 0.466)
O (0.907, 0.171, 0.647)
O (0.912, 0.232, 0.117)

Values from the calculation:
The value obtained for the formation energy is -1.839 eV per atom.